22
Lattice="-4.1192 -1.8551 2.9223 0.3530 -5.5869 -4.9320 2.1262 -5.9104 2.4148" Properties=species:S:1:pos:R:3 comment="Li4MnOF5, optimized geometry, DFT PBE+U" polymorph_energy_kj_per_mol_atoms=0.00 final_energy_ev_per_atom=-5.309 magnetic_moment_mub_per_cell=0.00 formation_enthalpy_0k_ev_per_atom=-2.886 pbc="T T T"
Mn -2.4717 -4.2480 1.5563
O -0.6440 -9.4510 -2.2732
Li -1.1347 -7.2046 -2.3982
Li 0.4913 -4.3669 0.8557
Mn 0.8273 -9.0689 -1.1634
Li -2.1293 -8.9610 -0.4657
F -0.3686 -8.9148 0.3705
O -1.8166 -10.5402 2.8617
F -2.0972 -11.0769 0.2256
F -0.4192 -8.0333 3.3336
F 0.6501 -6.2783 1.2973
Li -2.4550 -5.1327 -1.3566
Li -2.3076 -8.2939 2.7364
F -1.2768 -4.4016 0.0230
F -2.3976 -6.3748 2.1938
F 0.4518 -2.2384 0.1677
Li 0.6686 -5.0260 -2.3535
Li -0.5044 -6.1151 2.7810
F 0.7520 -6.9443 -1.8003
Li 0.8170 -8.1951 1.7465
F -2.2962 -7.0440 -0.9149
F -1.2239 -5.2852 -2.9400



24
Lattice="-2.2187 3.7437 3.7867 3.7333 -4.0247 1.7725 6.5585 5.4177 -1.5132" Properties=species:S:1:pos:R:3 comment="Mn3CoO8, optimized geometry, DFT PBE+U" polymorph_energy_kj_per_mol_atoms=13.52 final_energy_ev_per_atom=-6.630 magnetic_moment_mub_per_cell=28.00 formation_enthalpy_0k_ev_per_atom=-1.460 sg=P6_3mc pbc="T T T"
O 3.1341 8.1654 2.5516
Mn 5.2862 4.2848 3.2551
O 4.7555 -0.1928 2.9771
O 5.1960 6.2210 3.1810
O 2.0736 1.7128 -0.4783
Mn 3.0061 0.2720 3.6736
O 6.6511 0.5441 1.2082
Mn 4.1075 -1.5865 1.7938
Mn 4.5343 4.4243 0.4953
O 0.5316 1.1274 1.4401
Mn 3.4328 6.2828 2.3752
O 4.5435 6.3420 0.7861
O 5.5651 2.3767 3.0618
O 3.1471 1.5410 2.2135
O 4.8237 2.5142 0.3407
Co 4.9424 1.2025 1.7072
O 4.1030 -0.0718 0.5822
Mn 2.2541 0.4115 0.9138
Co 6.2376 6.5008 1.6219
O 2.3946 -0.9022 2.2950
O -0.5544 2.9599 3.2936
O 6.1519 4.6082 1.5496
O 3.6898 4.3961 2.2098
O 1.2730 0.9898 4.1613



28
Lattice="4.7372 0.0374 0.0000 0.0817 9.9659 0.0000 0.0000 0.0000 6.0730" Properties=species:S:1:pos:R:3 comment="Li4Cu3NiP4O16, optimized geometry, DFT PBE+U" final_energy_ev_per_atom=-6.261 magnetic_moment_mub_per_cell=3.00 formation_enthalpy_0k_ev_per_atom=-2.226 sg=Pm pbc="T T T"
Cu 0.2936 7.1096 4.5547
O 1.3085 1.6571 0.2975
Li 2.4132 5.0054 0.0158
Li 4.8068 9.9806 3.0370
O 3.6279 6.0543 1.5182
P 4.3848 4.0531 4.5547
O 3.2368 0.5570 4.5547
P 1.9983 0.9548 1.5182
O 3.4695 8.3775 3.3140
Li 2.4132 5.0054 3.0207
O 3.7387 3.3953 3.2999
O 1.5352 9.4582 1.5182
O 1.2630 8.9537 4.5547
P 0.4353 5.9456 1.5182
O 3.4695 8.3775 5.7955
O 3.8878 5.5363 4.5547
O 1.3085 1.6571 2.7390
O 1.0872 6.6377 0.2803
Cu 2.6588 7.8394 1.5182
Li 4.8068 9.9806 6.0725
Cu 2.1490 2.1782 4.5547
O 3.7387 3.3953 5.8095
P 2.8027 9.0397 4.5547
O 3.5254 1.0228 1.5182
O 1.1983 3.9419 4.5547
Ni 4.6597 2.8068 1.5182
O 1.0872 6.6377 2.7562
O 0.9779 4.4904 1.5182



11
Lattice="3.5370 1.6503 6.3958 -1.4522 1.6251 5.4710 1.0339 -2.7259 5.7990" Properties=species:S:1:pos:R:3 comment="MgMn2B2O6, optimized geometry, DFT PBE+U" final_energy_ev_per_atom=-7.630 magnetic_moment_mub_per_cell=10.00 formation_enthalpy_0k_ev_per_atom=-2.584 sg=P1 pbc="T T T"
O 2.0156 1.3095 5.0875
Mg 2.5173 0.3623 10.1828
O 1.1002 -0.6686 12.9952
O 2.7885 0.0177 8.1727
O 3.2706 0.2303 13.4940
O -0.0852 0.2085 4.6407
B 1.9086 0.3738 13.3702
B 1.2892 0.1870 4.7656
Mn 0.6916 0.1999 7.8670
O 0.5134 0.5774 10.0342
Mn 0.0469 0.0087 0.1771



32
Lattice="-1.5061 -2.4764 0.8927 5.2168 -1.6486 2.5270 -4.2912 7.7091 13.4598" Properties=species:S:1:pos:R:3 comment="Li9Mn2Co5O16, optimized geometry, DFT PBE+U" polymorph_energy_kj_per_mol_atoms=9.10 final_energy_ev_per_atom=-5.760 magnetic_moment_mub_per_cell=16.91 formation_enthalpy_0k_ev_per_atom=-1.770 sg=P1 pbc="T T T"
O 2.0164 -0.3769 5.7883
O -0.0825 2.7326 15.1730
O -2.6096 4.7398 8.4757
O 1.0373 1.2867 8.8978
Li 2.6244 -2.1814 6.7988
Mn 0.0261 -0.6824 2.7872
Co -2.1689 3.1550 9.3955
O -1.1089 5.1186 15.7412
Co -0.6024 4.2513 14.0937
O -0.4781 0.1604 4.4691
Li 2.6107 -1.4986 4.0373
Li -1.0443 0.5585 8.8896
Li 0.5121 2.3114 10.7407
Co 1.5357 1.1153 4.6722
Co -0.5971 4.9398 11.3378
O 0.5532 -2.2189 3.9055
O -2.5533 4.0646 11.0601
O -0.5292 0.8597 1.6739
Li -1.6715 6.8733 14.7099
Li -3.2117 5.7713 10.0875
Li -3.1955 5.0908 12.8486
Mn 0.9099 6.0586 15.9680
O 0.5364 -1.5408 1.0912
Co 1.5884 0.4427 7.4903
O -0.1729 3.3343 12.4883
O 2.0326 -1.1440 8.3951
O 1.0641 1.9409 6.2990
Li 1.5648 -0.2708 10.1473
Li -1.0858 1.2623 6.1296
O -1.6147 1.6452 10.5773
O -1.1203 5.7799 13.0127
O -1.6215 2.3041 7.9821



22
Lattice="-9.4009 0.8869 3.8916 -4.3708 4.2449 6.2553 -5.0702 1.7994 -3.6360" Properties=species:S:1:pos:R:3 comment="Li2CrC2O6, optimized geometry, DFT PBE+U" polymorph_energy_kj_per_mol_atoms=1.63 final_energy_ev_per_atom=-7.104 magnetic_moment_mub_per_cell=8.00 formation_enthalpy_0k_ev_per_atom=-2.059 sg=Fdd2 pbc="T T T"
C -13.3100 3.0321 2.9592
O -5.9956 3.8054 4.7659
O -4.1856 1.0657 -0.2313
O -14.6825 4.8992 6.5380
O -6.5833 1.9128 -2.2670
O -6.8292 1.4825 0.9206
Cr -9.4062 1.5733 3.7223
Cr -4.7158 2.4192 1.4584
C -1.7693 1.3969 1.5117
O -10.5323 3.0799 4.5775
Li -8.2131 3.6559 0.6103
C -7.6468 1.4463 1.8974
O -12.2554 4.6176 8.8769
Li -11.4660 2.2594 0.5972
O -2.5909 1.8711 2.3625
O -5.2322 1.9991 3.5857
Li -7.3680 3.6641 6.1623
O -8.2993 2.5258 2.2605
O -12.8454 3.0138 1.7728
O -13.5699 4.1721 3.5555
C -5.5270 3.2767 3.7054
Li -10.6410 4.8464 5.5132